Y2W2O9 | PBE with a Hubbard U | optimized geometry

```
52
Lattice="23.765 0.000 0.000 0.000 5.378 0.000 0.000 0.000 5.494" Properties=species:S:1:pos:R:3 pbc="T T T"
Y 4.815 1.202 0.617
Y 4.815 4.176 3.364
Y 7.068 1.487 3.364
Y 7.068 3.891 0.617
Y 16.698 1.487 4.876
Y 16.698 3.891 2.130
Y 18.951 1.202 2.130
Y 18.951 4.176 4.876
W 1.862 1.352 3.727
W 1.862 4.026 0.980
W 10.021 1.337 0.980
W 10.021 4.041 3.727
W 13.745 1.337 1.766
W 13.745 4.041 4.513
W 21.903 1.352 4.513
W 21.903 4.026 1.766
O 0.000 1.822 4.120
O 0.000 3.556 1.373
O 1.439 0.269 2.357
O 1.439 5.109 5.104
O 2.321 2.473 0.071
O 2.321 2.905 2.818
O 3.606 0.723 3.973
O 3.606 4.655 1.226
O 5.716 2.658 2.048
O 5.716 2.720 4.795
O 6.167 0.031 4.795
O 6.167 5.347 2.048
O 8.277 1.966 1.226
O 8.277 3.412 3.973
O 9.561 0.216 2.818
O 9.561 5.162 0.071
O 10.443 2.420 5.104
O 10.443 2.958 2.357
O 11.883 0.867 1.373
O 11.883 4.511 4.120
O 13.322 2.420 3.136
O 13.322 2.958 0.390
O 14.204 0.216 5.422
O 14.204 5.162 2.675
O 15.488 1.966 1.521
O 15.488 3.412 4.268
O 17.598 0.031 3.446
O 17.598 5.347 0.699
O 18.050 2.658 0.699
O 18.050 2.720 3.446
O 20.160 0.723 4.268
O 20.160 4.655 1.521
O 21.444 2.473 2.675
O 21.444 2.905 5.422
O 22.326 0.269 0.390
O 22.326 5.109 3.136
```

## Properties
Space group: Pbcn, No. 60
Energy (eV per cell): -422.9
V (Å³/atom): 13.5
ΔE to the lowest computed polymorph (meV per atom): 46